Entry 1:
Computed, not measured: crystalline K3Nb3B2O12 at its relaxed geometry at the GGA-PBE level of DFT.

Calculated values
* calculated volume: 13.88 Å³/atom
* symmetry: P31m, No. 157
* E_form: -2.8807 eV/atom
* largest piezoelectric modulus: 3.9 C/m2
* energy above the most stable polymorph in this dataset: 0 meV per atom
* total energy: -7.7870 eV per atom

a = 8.9168 Å, b = 8.9168 Å, c = 4.0329 Å
α = 90.00°, β = 90.00°, γ = 120.00°
Closest atoms and distances in Å follow each position.
Atoms (fractional coordinates):
O 0.8209 0.0000 0.9863  2 Nb 1.98
Nb 0.0000 0.2471 0.0201  5 O 1.87-2.06
B 0.6667 0.3333 0.9822  3 O 1.38
B 0.3333 0.6667 0.9822  3 O 1.38
O 0.3164 0.8119 0.9818  1 B 1.38
O 0.1791 0.1791 0.9863  2 Nb 1.98
O 0.0000 0.2623 0.4814  1 Nb 1.87
K 0.4034 0.4034 0.4983  7 O 2.81-3.03
K 0.5966 0.0000 0.4983  7 O 2.81-3.03
K 0.0000 0.5966 0.4983  7 O 2.81-3.03
O 0.0000 0.8209 0.9863  2 Nb 1.98
O 0.2623 0.0000 0.4814  1 Nb 1.87
O 0.6836 0.4956 0.9818  1 B 1.38
O 0.5044 0.1881 0.9818  1 B 1.38
Nb 0.2471 0.0000 0.0201  5 O 1.87-2.06
Nb 0.7529 0.7529 0.0201  5 O 1.87-2.06
O 0.4956 0.6836 0.9818  1 B 1.38
O 0.1881 0.5044 0.9818  1 B 1.38
O 0.7377 0.7377 0.4814  1 Nb 1.87
O 0.8119 0.3164 0.9818  1 B 1.38



Entry 2:
Computed, not measured: crystalline LiInIr at its relaxed geometry at the GGA-PBE level of DFT.

Calculated values
* calculated volume: 15.96 Å³/atom
* symmetry: P-6m2, No. 187
* E_form: -0.1693 eV/atom
* total energy: -4.6690 eV per atom

a = 4.3637 Å, b = 4.3637 Å, c = 2.9042 Å
α = 90.00°, β = 90.00°, γ = 120.00°
Closest atoms and distances in Å follow each position.
Atoms (fractional coordinates):
In 0.6667 0.3333 0.5000  2 In 2.90, 6 Li 2.91, 6 Ir 2.91
Ir 0.0000 0.0000 0.0000  3 Li 2.52
Li 0.3333 0.6667 0.0000  3 Ir 2.52



Entry 3:
Computed, not measured: crystalline YMg14NbO16 at its relaxed geometry at the GGA-PBE level of DFT.

Calculated values
* calculated volume: 10.54 Å³/atom
* symmetry: P4/mmm, No. 123
* E_form: -2.8432 eV/atom
* total energy: -6.1916 eV per atom

a = 8.7417 Å, b = 8.7417 Å, c = 4.4136 Å
α = 90.00°, β = 90.00°, γ = 90.00°
Closest atoms and distances in Å follow each position.
Atoms (fractional coordinates):
Y 0.0000 0.0000 0.0000  6 O 2.21-2.25
Mg 0.7440 0.2560 0.0000  6 O 2.14-2.24
Mg 0.5000 0.2494 0.5000  6 O 2.18-2.21
O 0.7520 0.2480 0.5000  6 Mg 2.17-2.21
O 0.2480 0.7520 0.5000  6 Mg 2.17-2.21
O 0.0000 0.7428 0.0000  5 Mg 2.12-2.24, 1 Y 2.25
O 0.2480 0.2480 0.5000  6 Mg 2.17-2.21
O 0.0000 0.5000 0.5000  6 Mg 2.07-2.21
Mg 0.7373 0.0000 0.5000  6 O 2.07-2.30
O 0.2367 0.5000 0.0000  5 Mg 2.07-2.21, 1 Nb 2.30
Mg 0.7440 0.7440 0.0000  6 O 2.14-2.24
Mg 0.0000 0.7373 0.5000  6 O 2.07-2.30
Mg 0.2560 0.7440 0.0000  6 O 2.14-2.24
O 0.5000 0.5000 0.5000  4 Mg 2.19, 2 Nb 2.21
Mg 0.0000 0.5000 0.0000  6 O 2.07-2.21
O 0.5000 0.0000 0.5000  6 Mg 2.07-2.21
O 0.5000 0.7633 0.0000  5 Mg 2.07-2.21, 1 Nb 2.30
O 0.0000 0.0000 0.5000  2 Y 2.21, 4 Mg 2.30
Mg 0.5000 0.7506 0.5000  6 O 2.18-2.21
Mg 0.7506 0.5000 0.5000  6 O 2.18-2.21
Mg 0.2560 0.2560 0.0000  6 O 2.14-2.24
O 0.5000 0.2367 0.0000  5 Mg 2.07-2.21, 1 Nb 2.30
Mg 0.5000 0.0000 0.0000  6 O 2.07-2.21
Mg 0.2494 0.5000 0.5000  6 O 2.18-2.21
O 0.2572 0.0000 0.0000  5 Mg 2.12-2.24, 1 Y 2.25
O 0.7428 0.0000 0.0000  5 Mg 2.12-2.24, 1 Y 2.25
Mg 0.0000 0.2627 0.5000  6 O 2.07-2.30
Mg 0.2627 0.0000 0.5000  6 O 2.07-2.30
O 0.7633 0.5000 0.0000  5 Mg 2.07-2.21, 1 Nb 2.30
O 0.0000 0.2572 0.0000  5 Mg 2.12-2.24, 1 Y 2.25
O 0.7520 0.7520 0.5000  6 Mg 2.17-2.21
Nb 0.5000 0.5000 0.0000  6 O 2.21-2.30



Entry 4:
Computed, not measured: crystalline LiHF2 at its relaxed geometry at the GGA-PBE level of DFT.

Calculated values
* calculated volume: 7.33 Å³/atom
* symmetry: C2/m, No. 12
* E_form: -2.1767 eV/atom
* energy above the most stable polymorph in this dataset: 362 meV per atom
* total energy: -4.2284 eV per atom

a = 3.1221 Å, b = 3.1221 Å, c = 3.3705 Å
α = 71.88°, β = 71.88°, γ = 76.50°
Closest atoms and distances in Å follow each position.
Atoms (fractional coordinates):
F 0.7549 0.7549 0.7228  1 H 1.14
H 0.0000 0.0000 0.5000  2 F 1.14
F 0.2451 0.2451 0.2772  1 H 1.14
Li 0.0000 0.0000 0.0000  2 H 1.69, 2 F 1.79



Entry 5:
Computed, not measured: crystalline CoNiP at its relaxed geometry at the GGA-PBE level of DFT.

Calculated values
* calculated volume: 10.76 Å³/atom
* symmetry: P-62m, No. 189
* E_form: -0.4892 eV/atom
* total energy: -6.5898 eV per atom

a = 5.8006 Å, b = 5.8006 Å, c = 3.3234 Å
α = 90.00°, β = 90.00°, γ = 120.00°
Closest atoms and distances in Å follow each position.
Atoms (fractional coordinates):
Co 0.0000 0.6066 0.0000  5 P 2.28-2.44
Ni 0.2594 0.0000 0.5000  4 P 2.18-2.24
Co 0.6066 0.0000 0.0000  5 P 2.28-2.44
P 0.3333 0.6667 0.5000  3 Ni 2.18, 6 Co 2.44
Ni 0.0000 0.2594 0.5000  4 P 2.18-2.24
P 0.0000 0.0000 0.0000  6 Ni 2.24, 3 Co 2.28
Ni 0.7406 0.7406 0.5000  4 P 2.18-2.24
Co 0.3934 0.3934 0.0000  5 P 2.28-2.44
P 0.6667 0.3333 0.5000  3 Ni 2.18, 6 Co 2.44



Entry 6:
Computed, not measured: crystalline LiSmIn2 at its relaxed geometry at the GGA-PBE level of DFT.

Calculated values
* calculated volume: 24.92 Å³/atom
* symmetry: Fm-3m, No. 225
* E_form: -0.3880 eV/atom
* total energy: -3.4207 eV per atom

a = 5.2048 Å, b = 5.2048 Å, c = 5.2048 Å
α = 60.00°, β = 60.00°, γ = 60.00°
Closest atoms and distances in Å follow each position.
Atoms (fractional coordinates):
Sm 0.0000 0.0000 0.0000  8 In 3.19
Li 0.5000 0.5000 0.5000  8 In 3.19
In 0.2500 0.2500 0.2500  4 Li 3.19, 4 Sm 3.19
In 0.7500 0.7500 0.7500  4 Li 3.19, 4 Sm 3.19



Entry 7:
Computed, not measured: crystalline WN at its relaxed geometry at the GGA-PBE level of DFT.

Calculated values
* calculated volume: 10.42 Å³/atom
* symmetry: P-6m2, No. 187
* E_form: -0.2510 eV/atom
* total energy: -10.7178 eV per atom

a = 2.8760 Å, b = 2.8760 Å, c = 2.9080 Å
α = 90.00°, β = 90.00°, γ = 120.00°
Closest atoms and distances in Å follow each position.
Atoms (fractional coordinates):
W 0.3333 0.6667 0.5000  6 N 2.21
N 0.0000 0.0000 0.0000  6 W 2.21



Entry 8:
Computed, not measured: crystalline Ce3IrI3 at its relaxed geometry at the GGA-PBE level of DFT.

Calculated values
* calculated volume: 34.71 Å³/atom
* symmetry: I4_132, No. 214
* E_form: -1.2420 eV/atom
* total energy: -5.5381 eV per atom

a = 10.8082 Å, b = 10.8082 Å, c = 10.8082 Å
α = 109.47°, β = 109.47°, γ = 109.47°
Closest atoms and distances in Å follow each position.
Atoms (fractional coordinates):
I 0.5100 0.7600 0.5201  4 Ce 3.28-3.43
Ce 0.4549 0.4774 0.2274  2 Ir 2.85
I 0.7400 0.2500 0.7600  4 Ce 3.28-3.43
Ce 0.7500 0.0226 0.4774  2 Ir 2.85
Ir 0.0000 0.2500 0.5000  6 Ce 2.85
Ce 0.0226 0.0451 0.2726  2 Ir 2.85
I 0.7600 0.5201 0.5100  4 Ce 3.28-3.43
Ce 0.0451 0.2726 0.0226  2 Ir 2.85
Ce 0.2726 0.7500 0.2274  2 Ir 2.85
I 0.7400 0.9900 0.9799  4 Ce 3.28-3.43
Ce 0.0226 0.4774 0.7500  2 Ir 2.85
I 0.9900 0.9799 0.7400  4 Ce 3.28-3.43
I 0.7600 0.7400 0.2500  4 Ce 3.28-3.43
Ce 0.4774 0.7500 0.0226  2 Ir 2.85
Ir 0.2500 0.2500 0.2500  6 Ce 2.85
Ir 0.5000 0.0000 0.2500  6 Ce 2.85
Ce 0.2274 0.2726 0.7500  2 Ir 2.85
Ce 0.2726 0.0226 0.0451  2 Ir 2.85
Ce 0.7500 0.2274 0.2726  2 Ir 2.85
I 0.9900 0.5100 0.2500  4 Ce 3.28-3.43
Ir 0.2500 0.5000 0.0000  6 Ce 2.85
I 0.9799 0.7400 0.9900  4 Ce 3.28-3.43
I 0.2500 0.7600 0.7400  4 Ce 3.28-3.43
I 0.5100 0.2500 0.9900  4 Ce 3.28-3.43
Ce 0.2274 0.4549 0.4774  2 Ir 2.85
I 0.5201 0.5100 0.7600  4 Ce 3.28-3.43
I 0.2500 0.9900 0.5100  4 Ce 3.28-3.43
Ce 0.4774 0.2274 0.4549  2 Ir 2.85



Please write out number 3 again, unchanged.
Computed, not measured: crystalline YMg14NbO16 at its relaxed geometry at the GGA-PBE level of DFT.

Calculated values
* calculated volume: 10.54 Å³/atom
* symmetry: P4/mmm, No. 123
* E_form: -2.8432 eV/atom
* total energy: -6.1916 eV per atom

a = 8.7417 Å, b = 8.7417 Å, c = 4.4136 Å
α = 90.00°, β = 90.00°, γ = 90.00°
Closest atoms and distances in Å follow each position.
Atoms (fractional coordinates):
Y 0.0000 0.0000 0.0000  6 O 2.21-2.25
Mg 0.7440 0.2560 0.0000  6 O 2.14-2.24
Mg 0.5000 0.2494 0.5000  6 O 2.18-2.21
O 0.7520 0.2480 0.5000  6 Mg 2.17-2.21
O 0.2480 0.7520 0.5000  6 Mg 2.17-2.21
O 0.0000 0.7428 0.0000  5 Mg 2.12-2.24, 1 Y 2.25
O 0.2480 0.2480 0.5000  6 Mg 2.17-2.21
O 0.0000 0.5000 0.5000  6 Mg 2.07-2.21
Mg 0.7373 0.0000 0.5000  6 O 2.07-2.30
O 0.2367 0.5000 0.0000  5 Mg 2.07-2.21, 1 Nb 2.30
Mg 0.7440 0.7440 0.0000  6 O 2.14-2.24
Mg 0.0000 0.7373 0.5000  6 O 2.07-2.30
Mg 0.2560 0.7440 0.0000  6 O 2.14-2.24
O 0.5000 0.5000 0.5000  4 Mg 2.19, 2 Nb 2.21
Mg 0.0000 0.5000 0.0000  6 O 2.07-2.21
O 0.5000 0.0000 0.5000  6 Mg 2.07-2.21
O 0.5000 0.7633 0.0000  5 Mg 2.07-2.21, 1 Nb 2.30
O 0.0000 0.0000 0.5000  2 Y 2.21, 4 Mg 2.30
Mg 0.5000 0.7506 0.5000  6 O 2.18-2.21
Mg 0.7506 0.5000 0.5000  6 O 2.18-2.21
Mg 0.2560 0.2560 0.0000  6 O 2.14-2.24
O 0.5000 0.2367 0.0000  5 Mg 2.07-2.21, 1 Nb 2.30
Mg 0.5000 0.0000 0.0000  6 O 2.07-2.21
Mg 0.2494 0.5000 0.5000  6 O 2.18-2.21
O 0.2572 0.0000 0.0000  5 Mg 2.12-2.24, 1 Y 2.25
O 0.7428 0.0000 0.0000  5 Mg 2.12-2.24, 1 Y 2.25
Mg 0.0000 0.2627 0.5000  6 O 2.07-2.30
Mg 0.2627 0.0000 0.5000  6 O 2.07-2.30
O 0.7633 0.5000 0.0000  5 Mg 2.07-2.21, 1 Nb 2.30
O 0.0000 0.2572 0.0000  5 Mg 2.12-2.24, 1 Y 2.25
O 0.7520 0.7520 0.5000  6 Mg 2.17-2.21
Nb 0.5000 0.5000 0.0000  6 O 2.21-2.30



Question: Look up the calculated volume of the first one.
Answer: 13.88 Å³/atom